[1]
First-principles (r2SCAN) data for a relaxed structure of TbZrF7, as listed in Materials Project.

Output
Its formation energy is -4215 meV/atom. As for the crystal system: monoclinic. As for the total energy: -227.58 eV/cell. Its space group is P2_1 (4).

Cell lengths 5.7106, 6.0428, 8.2128 Å; angles 102.50, 90.00, 90.00 degrees
Sites, in units of the cell vectors:
1 F 0.4937 0.5431 0.2115
2 F 0.9937 0.4569 0.7885
3 F 0.7038 0.8658 0.4763
4 F 0.1979 0.2439 0.0242
5 F 0.3917 0.5435 0.5246
6 F 0.6979 0.7561 0.9758
7 F 0.9301 0.0717 0.2295
8 F 0.2038 0.1342 0.5237
9 F 0.8917 0.4565 0.4754
10 F 0.0015 0.6205 0.2163
11 F 0.5015 0.3795 0.7837
12 F 0.9508 0.9542 0.7598
13 F 0.4301 0.9283 0.7705
14 F 0.4508 0.0458 0.2402
15 Tb 0.1988 0.3447 0.3135
16 Tb 0.6988 0.6553 0.6865
17 Zr 0.2081 0.1884 0.7746
18 Zr 0.7081 0.8116 0.2254


[2]
First-principles (r2SCAN) data for a relaxed structure of TeF6, as listed in Materials Project.

Output
Its formation energy is -2162 meV/atom. As for the crystal system: orthorhombic. As for the total energy: -237.24 eV/cell. Its space group is Pnma (62).

Cell lengths 4.9782, 8.5763, 9.4666 Å; angles 90.00, 90.00, 90.00 degrees
Sites, in units of the cell vectors:
1 F 0.2501 0.4015 0.0181
2 F 0.5632 0.4010 0.7374
3 F 0.9368 0.0990 0.2374
4 F 0.8891 0.7500 0.2566
5 F 0.3891 0.2500 0.2434
6 F 0.5632 0.0990 0.7374
7 F 0.0632 0.5990 0.7626
8 F 0.2985 0.7500 0.4894
9 F 0.7499 0.9015 0.9819
10 F 0.2499 0.4015 0.5181
11 F 0.1109 0.2500 0.7434
12 F 0.4368 0.5990 0.2626
13 F 0.2499 0.0985 0.5181
14 F 0.7985 0.2500 0.0106
15 F 0.7015 0.2500 0.5106
16 F 0.6109 0.7500 0.7566
17 F 0.0632 0.9010 0.7626
18 F 0.7501 0.5985 0.4819
19 F 0.2501 0.0985 0.0181
20 F 0.9368 0.4010 0.2374
21 F 0.4368 0.9010 0.2626
22 F 0.2015 0.7500 0.9894
23 F 0.7501 0.9015 0.4819
24 F 0.7499 0.5985 0.9819
25 Te 0.4070 0.2500 0.6274
26 Te 0.0930 0.2500 0.1274
27 Te 0.9070 0.7500 0.8726
28 Te 0.5930 0.7500 0.3726


[3]
First-principles (r2SCAN) data for a relaxed structure of TeF6, as listed in Materials Project.

Output
Its formation energy is -2162 meV/atom. As for the crystal system: trigonal. As for the total energy: -59.31 eV/cell. Its space group is R-3 (148).

Cell lengths 5.4370, 5.4370, 5.4370 Å; angles 54.95, 54.95, 54.95 degrees
Sites, in units of the cell vectors:
1 F 0.7741 0.3718 0.0844
2 F 0.6282 0.9156 0.2259
3 F 0.0844 0.7741 0.3718
4 F 0.9156 0.2259 0.6282
5 F 0.3718 0.0844 0.7741
6 F 0.2259 0.6282 0.9156
7 Te 0.0000 0.0000 0.0000


[4]
First-principles (r2SCAN) data for a relaxed structure of TlTeF5, as listed in Materials Project.

Output
Its formation energy is -2210 meV/atom. As for the crystal system: orthorhombic. As for the total energy: -438.80 eV/cell. Its space group is Pnma (62).

Cell lengths 4.6856, 6.1334, 16.7318 Å; angles 90.00, 90.00, 90.00 degrees
Sites, in units of the cell vectors:
1 F 0.7704 0.9713 0.3009
2 F 0.7208 0.4821 0.0952
3 F 0.7003 0.7500 0.9249
4 F 0.2003 0.2500 0.5751
5 F 0.7296 0.5287 0.8009
6 F 0.7296 0.9713 0.8009
7 F 0.7704 0.5287 0.3009
8 F 0.2208 0.9821 0.4048
9 F 0.7208 0.0179 0.0952
10 F 0.2208 0.5179 0.4048
11 F 0.2792 0.5179 0.9048
12 F 0.7792 0.0179 0.5952
13 F 0.2296 0.0287 0.6991
14 F 0.7997 0.7500 0.4249
15 F 0.2704 0.4713 0.1991
16 F 0.2704 0.0287 0.1991
17 F 0.2296 0.4713 0.6991
18 F 0.7792 0.4821 0.5952
19 F 0.2997 0.2500 0.0751
20 F 0.2792 0.9821 0.9048
21 Te 0.0513 0.7500 0.3347
22 Te 0.5513 0.2500 0.1653
23 Te 0.9487 0.2500 0.6653
24 Te 0.4487 0.7500 0.8347
25 Tl 0.8108 0.2500 0.9385
26 Tl 0.1892 0.7500 0.0615
27 Tl 0.3108 0.7500 0.5615
28 Tl 0.6892 0.2500 0.4385


[5]
First-principles (r2SCAN) data for a relaxed structure of ThF4, as listed in Materials Project.

Output
Its formation energy is -4425 meV/atom. As for the crystal system: monoclinic. As for the total energy: -648.63 eV/cell. Its space group is C2/c (15).

Cell lengths 8.5634, 8.5638, 8.5638 Å; angles 80.38, 63.06, 63.06 degrees
Sites, in units of the cell vectors:
1 F 0.4579 0.9327 0.8247
2 F 0.7806 0.5026 0.2622
3 F 0.5000 0.5000 0.0000
4 F 0.0000 0.0000 0.5000
5 F 0.7500 0.3966 0.6034
6 F 0.2806 0.2622 0.5026
7 F 0.0421 0.1753 0.0673
8 F 0.5676 0.1868 0.5982
9 F 0.9579 0.8247 0.9327
10 F 0.6552 0.7223 0.0266
11 F 0.8448 0.9734 0.2777
12 F 0.5421 0.0673 0.1753
13 F 0.7194 0.7378 0.4974
14 F 0.3448 0.2777 0.9734
15 F 0.8977 0.7398 0.6812
16 F 0.0676 0.5982 0.1868
17 F 0.1552 0.0266 0.7223
18 F 0.3977 0.6812 0.7398
19 F 0.4324 0.8132 0.4018
20 F 0.2500 0.6034 0.3966
21 F 0.6023 0.3188 0.2602
22 F 0.2194 0.4974 0.7378
23 F 0.1023 0.2602 0.3188
24 F 0.9324 0.4018 0.8132
25 Th 0.2500 0.2128 0.7872
26 Th 0.8302 0.2241 0.3679
27 Th 0.6698 0.6321 0.7759
28 Th 0.7500 0.7872 0.2128
29 Th 0.1698 0.7759 0.6321
30 Th 0.3302 0.3679 0.2241


[6]
First-principles (r2SCAN) data for a relaxed structure of ThTlF5, as listed in Materials Project.

Output
Its formation energy is -3752 meV/atom. As for the crystal system: monoclinic. As for the total energy: -674.20 eV/cell. Its space group is P2_1/c (14).

Cell lengths 7.1949, 8.0564, 8.9478 Å; angles 62.23, 90.00, 90.00 degrees
Sites, in units of the cell vectors:
1 F 0.9795 0.3416 0.3588
2 F 0.1842 0.8969 0.0023
3 F 0.6389 0.6728 0.7130
4 F 0.7961 0.3634 0.6252
5 F 0.2961 0.6366 0.8748
6 F 0.5785 0.6660 0.4266
7 F 0.1389 0.3272 0.7870
8 F 0.2039 0.6366 0.3748
9 F 0.4215 0.3340 0.5734
10 F 0.8158 0.1031 0.9977
11 F 0.9215 0.6660 0.9266
12 F 0.5205 0.3416 0.8588
13 F 0.3611 0.3272 0.2870
14 F 0.0785 0.3340 0.0734
15 F 0.6842 0.1031 0.4977
16 F 0.7039 0.3634 0.1252
17 F 0.0205 0.6584 0.6412
18 F 0.8611 0.6728 0.2130
19 F 0.3158 0.8969 0.5023
20 F 0.4795 0.6584 0.1412
21 Tl 0.8715 0.9239 0.3467
22 Tl 0.3715 0.0761 0.1533
23 Tl 0.6285 0.9239 0.8467
24 Tl 0.1285 0.0761 0.6533
25 Th 0.1559 0.5851 0.1377
26 Th 0.3441 0.5851 0.6377
27 Th 0.8441 0.4149 0.8623
28 Th 0.6559 0.4149 0.3623


[7]
First-principles (r2SCAN) data for a relaxed structure of ThZr2F12, as listed in Materials Project.

Output
Its formation energy is -4168 meV/atom. As for the crystal system: monoclinic. As for the total energy: -438.02 eV/cell. Its space group is C2/m (12).

Cell lengths 8.2035, 8.2035, 7.8696 Å; angles 61.86, 61.86, 79.88 degrees
Sites, in units of the cell vectors:
1 F 0.9409 0.2196 0.6629
2 F 0.8312 0.5343 0.7204
3 F 0.7775 0.7775 0.8615
4 F 0.7804 0.0591 0.3371
5 F 0.6437 0.9330 0.1121
6 F 0.7118 0.7118 0.4288
7 F 0.2225 0.2225 0.1385
8 F 0.4404 0.6937 0.1340
9 F 0.0000 0.0000 0.0000
10 F 0.4657 0.1688 0.2796
11 F 0.2882 0.2882 0.5712
12 F 0.6121 0.3879 0.5000
13 F 0.3563 0.0670 0.8879
14 F 0.5343 0.8312 0.7204
15 F 0.6937 0.4404 0.1340
16 F 0.0670 0.3563 0.8879
17 F 0.2196 0.9409 0.6629
18 F 0.1688 0.4657 0.2796
19 F 0.5596 0.3063 0.8660
20 F 0.0000 0.0000 0.5000
21 F 0.3879 0.6121 0.5000
22 F 0.9330 0.6437 0.1121
23 F 0.3063 0.5596 0.8660
24 F 0.0591 0.7804 0.3371
25 Zr 0.1890 0.1890 0.4293
26 Zr 0.8110 0.8110 0.5707
27 Zr 0.3511 0.3511 0.7736
28 Zr 0.6489 0.6489 0.2264
29 Th 0.7782 0.2218 0.0000
30 Th 0.2218 0.7782 0.0000


[8]
First-principles (r2SCAN) data for a relaxed structure of TiF4, as listed in Materials Project.

Output
Its formation energy is -3556 meV/atom. As for the crystal system: orthorhombic. As for the total energy: -518.69 eV/cell. Its space group is Pnma (62).

Cell lengths 3.8690, 9.5016, 22.3573 Å; angles 90.00, 90.00, 90.00 degrees
Sites, in units of the cell vectors:
1 F 0.2500 0.5762 0.2946
2 F 0.2500 0.9631 0.3993
3 F 0.2500 0.0312 0.0903
4 F 0.2500 0.8099 0.1607
5 F 0.2500 0.6418 0.7754
6 F 0.7500 0.0448 0.3235
7 F 0.2500 0.2858 0.1372
8 F 0.7500 0.0369 0.6007
9 F 0.7500 0.7142 0.8628
10 F 0.7500 0.1425 0.4300
11 F 0.7500 0.3582 0.2246
12 F 0.2500 0.8575 0.5700
13 F 0.7500 0.1378 0.0047
14 F 0.2500 0.5448 0.1765
15 F 0.2500 0.9238 0.7946
16 F 0.7500 0.6960 0.2278
17 F 0.2500 0.1158 0.5242
18 F 0.2500 0.9552 0.6765
19 F 0.2500 0.6901 0.6607
20 F 0.2500 0.3040 0.7722
21 F 0.2500 0.6425 0.0700
22 F 0.7500 0.3622 0.5047
23 F 0.7500 0.8040 0.7278
24 F 0.2500 0.1960 0.2722
25 F 0.2500 0.1648 0.9211
26 F 0.7500 0.8352 0.0789
27 F 0.7500 0.4552 0.8235
28 F 0.2500 0.8582 0.2754
29 F 0.2500 0.8622 0.9953
30 F 0.7500 0.8842 0.4758
31 F 0.7500 0.0762 0.2054
32 F 0.2500 0.3842 0.0242
33 F 0.7500 0.4631 0.1007
34 F 0.2500 0.5369 0.8993
35 F 0.7500 0.3099 0.3393
36 F 0.7500 0.6158 0.9758
37 F 0.7500 0.4238 0.7054
38 F 0.7500 0.7858 0.3628
39 F 0.7500 0.3575 0.9300
40 F 0.2500 0.4688 0.5903
41 F 0.2500 0.6378 0.4953
42 F 0.2500 0.2142 0.6372
43 F 0.7500 0.6648 0.5789
44 F 0.7500 0.1418 0.7246
45 F 0.7500 0.9688 0.9097
46 F 0.7500 0.5312 0.4097
47 F 0.7500 0.1901 0.8393
48 F 0.2500 0.3352 0.4211
49 Ti 0.7500 0.9461 0.4016
50 Ti 0.7500 0.1982 0.2643
51 Ti 0.2500 0.0539 0.5984
52 Ti 0.7500 0.1483 0.9261
53 Ti 0.2500 0.8018 0.7357
54 Ti 0.2500 0.8517 0.0739
55 Ti 0.2500 0.6483 0.5739
56 Ti 0.2500 0.6982 0.2357
57 Ti 0.2500 0.4461 0.0984
58 Ti 0.7500 0.3018 0.7643
59 Ti 0.7500 0.3517 0.4261
60 Ti 0.7500 0.5539 0.9016